Entry from the Materials Project database: a relaxed CdI2 crystal (PBE).

The structure in extended XYZ format:
```
42
Lattice="-3.620 2.313 0.628 0.699 -3.609 2.311 48.124 55.651 72.357" Properties=species:S:1:pos:R:3 pbc="T T T"
I 2.923 6.240 8.862
I 37.297 45.991 60.545
I 16.671 22.140 29.534
I 13.235 18.165 24.367
I 40.733 49.965 65.712
I 34.428 39.812 51.764
I 13.062 14.327 22.503
I 20.109 26.115 34.703
I -0.516 2.264 3.692
I 26.812 30.228 43.178
I 30.249 34.202 48.345
I 44.171 53.940 70.882
I 9.798 14.191 19.199
I 41.303 47.763 62.101
I 3.491 4.037 5.249
I 43.999 50.103 69.020
I 30.421 38.040 50.208
I 33.859 42.016 55.378
I 6.187 6.377 12.166
I 23.546 30.089 39.870
I 24.115 27.886 36.258
I 6.359 10.215 14.029
I 37.124 42.152 58.682
I 17.241 19.937 25.923
I -0.687 -1.572 1.832
I 19.937 22.278 32.841
I 26.985 34.066 45.041
I 10.366 11.988 15.586
Cd 41.367 47.059 65.062
Cd 45.546 52.670 68.482
Cd 10.431 11.284 18.548
Cd 28.359 32.794 42.639
Cd 7.734 8.944 11.629
Cd 3.556 3.334 8.210
Cd 21.484 24.845 32.303
Cd 0.859 0.993 1.292
Cd 38.671 44.719 58.145
Cd 34.493 39.110 54.726
Cd 31.796 36.769 47.807
Cd 17.305 19.234 28.884
Cd 24.180 27.184 39.220
Cd 14.609 16.894 21.966
```

Calculated values
ΔH_f (0 K) = -242 kJ/mol of formula units
theoretical density = 5.05 g/cm3
crystal system = trigonal
total energy = -80.16 eV/cell
calculated volume = 1684.6 Å³/cell
total magnetization = 0.00 μB per formula unit

***

Entry from the Materials Project database: a relaxed CdI2 crystal (PBE).

The structure in extended XYZ format:
```
51
Lattice="2.168 -3.754 0.000 2.168 3.754 0.000 0.000 0.000 129.432" Properties=species:S:1:pos:R:3 pbc="T T T"
I 2.168 -1.251 110.216
I 2.168 1.251 0.184
I 2.168 -1.251 18.857
I 0.000 0.000 26.461
I 2.168 1.251 15.414
I 0.000 0.000 41.695
I 0.000 0.000 11.238
I 0.000 0.000 125.440
I 2.168 1.251 30.632
I 2.168 1.251 114.384
I 2.168 1.251 7.795
I 2.168 -1.251 94.992
I 0.000 0.000 34.076
I 2.168 1.251 23.016
I 2.168 1.251 83.934
I 2.168 -1.251 3.628
I 2.168 1.251 53.480
I 2.168 1.251 68.700
I 2.168 -1.251 72.142
I 2.168 -1.251 38.250
I 0.000 0.000 64.530
I 2.168 1.251 45.866
I 0.000 0.000 102.606
I 2.168 1.251 61.086
I 2.168 1.251 91.549
I 2.168 1.251 76.316
I 0.000 0.000 87.376
I 2.168 1.251 106.772
I 2.168 -1.251 56.924
I 2.168 -1.251 79.761
I 2.168 -1.251 117.828
I 2.168 1.251 99.162
I 0.000 0.000 49.311
I 2.168 1.251 121.998
Cd 2.168 -1.251 123.718
Cd 2.168 1.251 39.973
Cd 2.168 -1.251 100.884
Cd 0.000 0.000 70.421
Cd 0.000 0.000 17.136
Cd 2.168 -1.251 32.355
Cd 2.168 -1.251 47.589
Cd 2.168 -1.251 62.808
Cd 2.168 -1.251 9.516
Cd 0.000 0.000 108.494
Cd 0.000 0.000 1.906
Cd 2.168 -1.251 24.739
Cd 0.000 0.000 55.202
Cd 0.000 0.000 78.039
Cd 0.000 0.000 93.270
Cd 0.000 0.000 116.106
Cd 2.168 -1.251 85.655
```

Calculated values
ΔH_f (0 K) = -243 kJ/mol of formula units
theoretical density = 4.91 g/cm3
crystal system = trigonal
total energy = -97.40 eV/cell
calculated volume = 2106.5 Å³/cell
total magnetization = 0.00 μB per formula unit

***

Which value of ΔH_f (0 K) does entry 1 give? -242 kJ/mol of formula units

***

Repeat the first record exactly.
Entry from the Materials Project database: a relaxed CdI2 crystal (PBE).

The structure in extended XYZ format:
```
42
Lattice="-3.620 2.313 0.628 0.699 -3.609 2.311 48.124 55.651 72.357" Properties=species:S:1:pos:R:3 pbc="T T T"
I 2.923 6.240 8.862
I 37.297 45.991 60.545
I 16.671 22.140 29.534
I 13.235 18.165 24.367
I 40.733 49.965 65.712
I 34.428 39.812 51.764
I 13.062 14.327 22.503
I 20.109 26.115 34.703
I -0.516 2.264 3.692
I 26.812 30.228 43.178
I 30.249 34.202 48.345
I 44.171 53.940 70.882
I 9.798 14.191 19.199
I 41.303 47.763 62.101
I 3.491 4.037 5.249
I 43.999 50.103 69.020
I 30.421 38.040 50.208
I 33.859 42.016 55.378
I 6.187 6.377 12.166
I 23.546 30.089 39.870
I 24.115 27.886 36.258
I 6.359 10.215 14.029
I 37.124 42.152 58.682
I 17.241 19.937 25.923
I -0.687 -1.572 1.832
I 19.937 22.278 32.841
I 26.985 34.066 45.041
I 10.366 11.988 15.586
Cd 41.367 47.059 65.062
Cd 45.546 52.670 68.482
Cd 10.431 11.284 18.548
Cd 28.359 32.794 42.639
Cd 7.734 8.944 11.629
Cd 3.556 3.334 8.210
Cd 21.484 24.845 32.303
Cd 0.859 0.993 1.292
Cd 38.671 44.719 58.145
Cd 34.493 39.110 54.726
Cd 31.796 36.769 47.807
Cd 17.305 19.234 28.884
Cd 24.180 27.184 39.220
Cd 14.609 16.894 21.966
```

Calculated values
ΔH_f (0 K) = -242 kJ/mol of formula units
theoretical density = 5.05 g/cm3
crystal system = trigonal
total energy = -80.16 eV/cell
calculated volume = 1684.6 Å³/cell
total magnetization = 0.00 μB per formula unit